No. 1
! Hg2P3Br GGA-PBE relaxed; values from VASP
&SYSTEM
  ibrav = 0, nat = 24, ntyp = 3
/
ATOMIC_SPECIES
Hg 200.59 Hg.upf
P 30.97 P.upf
Br 79.90 Br.upf
CELL_PARAMETERS angstrom
8.172 0.000 0.000
0.000 9.139 0.000
0.000 0.000 7.944
ATOMIC_POSITIONS crystal
Hg 0.217 0.172 0.107
Hg 0.217 0.828 0.607
Hg 0.283 0.328 0.607
Hg 0.283 0.672 0.107
Hg 0.717 0.328 0.893
Hg 0.717 0.672 0.393
Hg 0.783 0.172 0.393
Hg 0.783 0.828 0.893
P 0.000 0.321 0.250
P 0.000 0.679 0.750
P 0.112 0.484 0.422
P 0.112 0.516 0.922
P 0.388 0.016 0.922
P 0.388 0.984 0.422
P 0.500 0.179 0.750
P 0.500 0.821 0.250
P 0.612 0.016 0.578
P 0.612 0.984 0.078
P 0.888 0.484 0.078
P 0.888 0.516 0.578
Br 0.000 0.114 0.750
Br 0.000 0.886 0.250
Br 0.500 0.386 0.250
Br 0.500 0.614 0.750
! Formation energy, eV per atom: -0.228
! Energy, eV/atom: -3.220


No. 2
! Hg2PbS2Br2 GGA-PBE relaxed; values from VASP
&SYSTEM
  ibrav = 0, nat = 28, ntyp = 4
/
ATOMIC_SPECIES
Hg 200.59 Hg.upf
Pb 207.20 Pb.upf
S 32.06 S.upf
Br 79.90 Br.upf
CELL_PARAMETERS angstrom
10.974 0.000 0.000
0.000 9.253 0.000
-5.827 0.000 12.944
ATOMIC_POSITIONS crystal
Hg 0.042 0.178 0.112
Hg 0.042 0.322 0.612
Hg 0.176 0.067 0.826
Hg 0.176 0.433 0.326
Hg 0.824 0.567 0.674
Hg 0.824 0.933 0.174
Hg 0.958 0.678 0.388
Hg 0.958 0.822 0.888
Pb 0.362 0.089 0.550
Pb 0.362 0.411 0.050
Pb 0.638 0.589 0.950
Pb 0.638 0.911 0.450
S 0.151 0.532 0.470
S 0.151 0.968 0.970
S 0.232 0.173 0.696
S 0.232 0.327 0.196
S 0.768 0.673 0.804
S 0.768 0.827 0.304
S 0.849 0.032 0.030
S 0.849 0.468 0.530
Br 0.120 0.072 0.383
Br 0.120 0.428 0.883
Br 0.455 0.696 0.045
Br 0.455 0.804 0.545
Br 0.545 0.196 0.455
Br 0.545 0.304 0.955
Br 0.880 0.572 0.117
Br 0.880 0.928 0.617
! Formation energy, eV per atom: -0.679
! Energy, eV/atom: -2.650


No. 3
! Rb2HgSbBr6 GGA-PBE relaxed; values from VASP
&SYSTEM
  ibrav = 0, nat = 10, ntyp = 4
/
ATOMIC_SPECIES
Rb 85.47 Rb.upf
Hg 200.59 Hg.upf
Sb 121.76 Sb.upf
Br 79.90 Br.upf
CELL_PARAMETERS angstrom
0.000 5.790 5.790
5.790 0.000 5.790
5.790 5.790 0.000
ATOMIC_POSITIONS crystal
Rb 0.250 0.250 0.250
Rb 0.750 0.750 0.750
Hg 0.000 0.000 0.000
Sb 0.500 0.500 0.500
Br 0.258 0.258 0.742
Br 0.258 0.742 0.258
Br 0.258 0.742 0.742
Br 0.742 0.258 0.258
Br 0.742 0.258 0.742
Br 0.742 0.742 0.258
! Formation energy, eV per atom: -1.340
! Energy, eV/atom: -2.641


- What is the formula in the first record?
  Hg2P3Br